(1)
# Ag8GeSe6

A relaxed Ag8GeSe6 crystal (PBE, the Materials Project database).

```
Ag8GeSe6
1.0
-3.2650 2.9995 -6.4768
0.9252 -7.0637 -3.7377
-9.9493 -3.1782 3.5436
Ag Se Ge
16 12 2
Direct
0.5358 0.3019 0.7683 Ag
0.7246 0.5000 0.9811 Ag
0.5358 0.6981 0.7683 Ag
0.8449 0.7999 0.1571 Ag
0.4642 0.1981 0.2683 Ag
0.1021 0.2916 0.3636 Ag
0.1551 0.7001 0.6571 Ag
0.1021 0.7084 0.3636 Ag
0.8979 0.2084 0.8636 Ag
0.8979 0.7916 0.8636 Ag
0.3822 0.0000 0.0427 Ag
0.6178 0.5000 0.5427 Ag
0.8449 0.2001 0.1571 Ag
0.2754 0.0000 0.4811 Ag
0.1551 0.2999 0.6571 Ag
0.4642 0.8019 0.2683 Ag
0.7500 0.2486 0.3990 Se
0.5094 0.0000 0.6503 Se
0.8104 0.5000 0.7467 Se
0.2839 0.5000 0.4974 Se
0.2500 0.2514 0.8990 Se
0.2500 0.7486 0.8990 Se
0.7500 0.7514 0.3990 Se
0.0045 0.5000 0.1506 Se
0.1896 0.0000 0.2467 Se
0.4906 0.5000 0.1503 Se
0.9955 0.0000 0.6506 Se
0.7161 0.0000 0.9974 Se
0.2496 0.5000 0.0190 Ge
0.7504 0.0000 0.5190 Ge
```

Output
- symmetry = Pmn2_1, No. 31
- E_tot (eV per atom) = -3.367
- DFT formation energy (eV/atom) = -0.3380


(2)
# SmAg2Ge2

A relaxed SmAg2Ge2 crystal (PBE, the Materials Project database).

```
SmAg2Ge2
1.0
-2.1462 2.1462 5.5678
2.1462 -2.1462 5.5678
2.1462 2.1462 -5.5678
Sm Ag Ge
1 2 2
Direct
0.0000 0.0000 0.0000 Sm
0.2500 0.7500 0.5000 Ag
0.7500 0.2500 0.5000 Ag
0.6096 0.6096 0.0000 Ge
0.3904 0.3904 0.0000 Ge
```

Output
- symmetry = I4/mmm, No. 139
- E_tot (eV per atom) = -4.329
- DFT formation energy (eV/atom) = -0.4026


(3)
# SmAgGe

A relaxed SmAgGe crystal (PBE, the Materials Project database).

```
SmAgGe
1.0
3.9955 4.8644 -3.6538
-7.1810 -0.3895 -1.1215
-0.6450 2.8806 3.1296
Ag Sm Ge
3 3 3
Direct
0.7489 0.7489 0.5000 Ag
0.2511 0.0000 0.5000 Ag
0.0000 0.2511 0.5000 Ag
0.4113 0.4113 0.0000 Sm
0.0000 0.5887 0.0000 Sm
0.5887 0.0000 0.0000 Sm
0.6667 0.3333 0.5000 Ge
0.3333 0.6667 0.5000 Ge
0.0000 0.0000 0.0000 Ge
```

Output
- symmetry = P-62m, No. 189
- E_tot (eV per atom) = -4.707
- DFT formation energy (eV/atom) = -0.6492


| no. | calculated volume (Å³ per cell) |
| --- | --- |
| 1 | 696.44 |
| 2 | 102.58 |
| 3 | 197.38 |